## TiP (PBE-GGA)

Data for crystalline TiP at its relaxed geometry.

a = 3.4960 Å, b = 3.4960 Å, c = 11.7253 Å
α = 90.00°, β = 90.00°, γ = 120.00°
With the nearest neighbours (Å) after each atom.
Positions (direct):
Ti  0.3333  0.6667  0.1163  6 P 2.44-2.56
Ti  0.3333  0.6667  0.3837  6 P 2.44-2.56
Ti  0.6667  0.3333  0.6163  6 P 2.44-2.56
Ti  0.6667  0.3333  0.8837  6 P 2.44-2.56
P  0.0000  0.0000  0.0000  6 Ti 2.44
P  0.0000  0.0000  0.5000  6 Ti 2.44
P  0.3333  0.6667  0.7500  6 Ti 2.56
P  0.6667  0.3333  0.2500  6 Ti 2.56

Calculated values
Energy of formation = -1182 meV per atom
Mass density = 4.22 Mg/m³

## LiTb2RuO6 (PBE-GGA)

Data for crystalline LiTb2RuO6 at its relaxed geometry.

a = 5.3270 Å, b = 5.7615 Å, c = 9.2411 Å
α = 90.00°, β = 124.43°, γ = 90.00°
With the nearest neighbours (Å) after each atom.
Positions (direct):
Li  0.0000  0.0000  0.0000  6 O 2.06-2.16
Li  0.0000  0.5000  0.5000  6 O 2.06-2.16
Tb  0.2287  0.0796  0.7483  5 O 2.26-2.51
Tb  0.2287  0.4204  0.2483  5 O 2.26-2.51
Tb  0.7713  0.5796  0.7517  5 O 2.26-2.51
Tb  0.7713  0.9204  0.2517  5 O 2.26-2.51
Ru  0.5000  0.0000  0.5000  6 O 1.98-1.99
Ru  0.5000  0.5000  0.0000  6 O 1.98-1.99
O  0.1392  0.1792  0.4443  1 Ru 1.98, 1 Li 2.16
O  0.1392  0.3208  0.9443  1 Ru 1.98, 1 Li 2.16
O  0.2655  0.7049  0.4379  1 Ru 1.99, 1 Li 2.15
O  0.2655  0.7951  0.9379  1 Ru 1.99, 1 Li 2.15
O  0.3721  0.0423  0.2548  1 Ru 1.98, 1 Li 2.06
O  0.3721  0.4577  0.7548  1 Ru 1.98, 1 Li 2.06
O  0.6279  0.5423  0.2452  1 Ru 1.98, 1 Li 2.06
O  0.6279  0.9577  0.7452  1 Ru 1.98, 1 Li 2.06
O  0.7345  0.2049  0.0621  1 Ru 1.99, 1 Li 2.15
O  0.7345  0.2951  0.5621  1 Ru 1.99, 1 Li 2.15
O  0.8608  0.6792  0.0557  1 Ru 1.98, 1 Li 2.16
O  0.8608  0.8208  0.5557  1 Ru 1.98, 1 Li 2.16

Calculated values
Energy of formation = -2866 meV per atom
MP2020-corrected energy = -157.59 eV/cell
Mass density = 7.41 Mg/m³